No. 1
Density functional theory data (PBE-GGA) for crystalline Sr15Ti23O61 at its relaxed geometry.

Unit cell a=5.6410 b=23.4066 c=30.1113 alpha=90.00 beta=90.54 gamma=90.00
Positions (direct):
Ti (0.0157, 0.2509, 0.1793)
Ti (0.9961, 0.9153, 0.8127)
Ti (0.9843, 0.2509, 0.8207)
Ti (0.5026, 0.5828, 0.0920)
Ti (0.0000, 0.2483, 0.0000)
Ti (0.0000, 0.9174, 0.0000)
Ti (0.9843, 0.7491, 0.8207)
Ti (0.0210, 0.5767, 0.7283)
Ti (0.8465, 0.8691, 0.2951)
Ti (0.1535, 0.8691, 0.7049)
Ti (0.9790, 0.4233, 0.2717)
Ti (0.9744, 0.7278, 0.2721)
Ti (0.5026, 0.4172, 0.0920)
Ti (0.1535, 0.1309, 0.7049)
Ti (0.5029, 0.7488, 0.0923)
Ti (0.0000, 0.5837, 0.0000)
Ti (0.0000, 0.7517, 0.0000)
Ti (0.0157, 0.7491, 0.1793)
Ti (0.0039, 0.9153, 0.1873)
Ti (0.3449, 0.9267, 0.2888)
Ti (0.5013, 0.9169, 0.9056)
Ti (0.0000, 0.0826, 0.0000)
Ti (0.0000, 0.4163, 0.0000)
Ti (0.4974, 0.5828, 0.9080)
Ti (0.4974, 0.4172, 0.9080)
Ti (0.0256, 0.2722, 0.7279)
Ti (0.9790, 0.5767, 0.2717)
Ti (0.6551, 0.9267, 0.7112)
Ti (0.5013, 0.0831, 0.9056)
Ti (0.8465, 0.1309, 0.2951)
Ti (0.9898, 0.5829, 0.8223)
Ti (0.0210, 0.4233, 0.7283)
Ti (0.0102, 0.4171, 0.1777)
Ti (0.0039, 0.0847, 0.1873)
Ti (0.4987, 0.9169, 0.0944)
Ti (0.4971, 0.7488, 0.9077)
Ti (0.9961, 0.0847, 0.8127)
Ti (0.6551, 0.0733, 0.7112)
Ti (0.3449, 0.0733, 0.2888)
Ti (0.5029, 0.2512, 0.0923)
Ti (0.4971, 0.2512, 0.9077)
Ti (0.9898, 0.4171, 0.8223)
Ti (0.4987, 0.0831, 0.0944)
Ti (0.9744, 0.2722, 0.2721)
Ti (0.0102, 0.5829, 0.1777)
Ti (0.0256, 0.7278, 0.7279)
O (0.7270, 0.2467, 0.0412)
O (0.9609, 0.6523, 0.2944)
O (0.7570, 0.0776, 0.8604)
O (0.9871, 0.3361, 0.8240)
O (0.7738, 0.4201, 0.7655)
O (0.2730, 0.7533, 0.9588)
O (0.7606, 0.5798, 0.2264)
O (0.2881, 0.9087, 0.2307)
O (0.4978, 0.1649, 0.0956)
O (0.0339, 0.5000, 0.7065)
O (0.9905, 0.0000, 0.1933)
O (0.3056, 0.2541, 0.1449)
O (0.2694, 0.5840, 0.9594)
O (0.5541, 0.1202, 0.3183)
O (0.2574, 0.0825, 0.8544)
O (0.7898, 0.2491, 0.1319)
O (0.7605, 0.2588, 0.2266)
O (0.2262, 0.5799, 0.2345)
O (0.9661, 0.5000, 0.2935)
O (0.5541, 0.8798, 0.3183)
O (0.2395, 0.7412, 0.7734)
O (0.4978, 0.8351, 0.0956)
O (0.7426, 0.0825, 0.1456)
O (0.9609, 0.3477, 0.2944)
O (0.6934, 0.5828, 0.8561)
O (0.0562, 0.7947, 0.6954)
O (0.0171, 0.5000, 0.1752)
O (0.5078, 0.3326, 0.0890)
O (0.7570, 0.9224, 0.8604)
O (0.3066, 0.5828, 0.1439)
O (0.4922, 0.3326, 0.9110)
O (0.7733, 0.4158, 0.9492)
O (0.7119, 0.9087, 0.7693)
O (0.7771, 0.2613, 0.7642)
O (0.2267, 0.5842, 0.0508)
O (0.4922, 0.6674, 0.9110)
O (0.4960, 0.5000, 0.9114)
O (0.9348, 0.0800, 0.6827)
O (0.0000, 0.0000, 0.0000)
O (0.4840, 0.0000, 0.9067)
O (0.7865, 0.5827, 0.1303)
O (0.0391, 0.6523, 0.7056)
O (0.2262, 0.4201, 0.2345)
O (0.2229, 0.7387, 0.2358)
O (0.7606, 0.4202, 0.2264)
O (0.7270, 0.7533, 0.0412)
O (0.7731, 0.7528, 0.9485)
O (0.0000, 0.3312, 0.0000)
O (0.2730, 0.2467, 0.9588)
O (0.7605, 0.7412, 0.2266)
O (0.2395, 0.2588, 0.7734)
O (0.5160, 0.0000, 0.0933)
O (0.0652, 0.0800, 0.3173)
O (0.7387, 0.9179, 0.9545)
O (0.9829, 0.5000, 0.8248)
O (0.2269, 0.7528, 0.0515)
O (0.2394, 0.5798, 0.7736)
O (0.7865, 0.4173, 0.1303)
O (0.2613, 0.9179, 0.0455)
O (0.4609, 0.0000, 0.2833)
O (0.0095, 0.0000, 0.8067)
O (0.5078, 0.6674, 0.0890)
O (0.7306, 0.4160, 0.0406)
O (0.4459, 0.8798, 0.6817)
O (0.0309, 0.1696, 0.1785)
O (0.9691, 0.1696, 0.8215)
O (0.2613, 0.0821, 0.0455)
O (0.0391, 0.3477, 0.7056)
O (0.2394, 0.4202, 0.7736)
O (0.0129, 0.6639, 0.1760)
O (0.7948, 0.8928, 0.2376)
O (0.2267, 0.4158, 0.0508)
O (0.7620, 0.9165, 0.0492)
O (0.2380, 0.0835, 0.9508)
O (0.6934, 0.4172, 0.8561)
O (0.2229, 0.2613, 0.2358)
O (0.7733, 0.5842, 0.9492)
O (0.9871, 0.6639, 0.8240)
O (0.2574, 0.9175, 0.8544)
O (0.3056, 0.7459, 0.1449)
O (0.7898, 0.7509, 0.1319)
O (0.7306, 0.5840, 0.0406)
O (0.6944, 0.7459, 0.8551)
O (0.9438, 0.2053, 0.3046)
O (0.0129, 0.3361, 0.1760)
O (0.2135, 0.5827, 0.8697)
O (0.2694, 0.4160, 0.9594)
O (0.0000, 0.1648, 0.0000)
O (0.0000, 0.5000, 0.0000)
O (0.2881, 0.0913, 0.2307)
O (0.7620, 0.0835, 0.0492)
O (0.5022, 0.8351, 0.9044)
O (0.2430, 0.9224, 0.1396)
O (0.2052, 0.1072, 0.7624)
O (0.7387, 0.0821, 0.9545)
O (0.0000, 0.6688, 0.0000)
O (0.7731, 0.2472, 0.9485)
O (0.9348, 0.9200, 0.6827)
O (0.5391, 0.0000, 0.7167)
O (0.9438, 0.7947, 0.3046)
O (0.2052, 0.8928, 0.7624)
O (0.7119, 0.0913, 0.7693)
O (0.7426, 0.9175, 0.1456)
O (0.7771, 0.7387, 0.7642)
O (0.4459, 0.1202, 0.6817)
O (0.9691, 0.8304, 0.8215)
O (0.0652, 0.9200, 0.3173)
O (0.2430, 0.0776, 0.1396)
O (0.3066, 0.4172, 0.1439)
O (0.0000, 0.8352, 0.0000)
O (0.2135, 0.4173, 0.8697)
O (0.5040, 0.5000, 0.0886)
O (0.0562, 0.2053, 0.6954)
O (0.2269, 0.2472, 0.0515)
O (0.2380, 0.9165, 0.9508)
O (0.2102, 0.7509, 0.8681)
O (0.0309, 0.8304, 0.1785)
O (0.2102, 0.2491, 0.8681)
O (0.7738, 0.5799, 0.7655)
O (0.7948, 0.1072, 0.2376)
O (0.5022, 0.1649, 0.9044)
O (0.6944, 0.2541, 0.8551)
Sr (0.4923, 0.3365, 0.1951)
Sr (0.5000, 0.5000, 0.0000)
Sr (0.9986, 0.5000, 0.0892)
Sr (0.5024, 0.0000, 0.1901)
Sr (0.5000, 0.6671, 0.0000)
Sr (0.5000, 0.3329, 0.0000)
Sr (0.5000, 0.1646, 0.0000)
Sr (0.9986, 0.6673, 0.0898)
Sr (0.4906, 0.1706, 0.8110)
Sr (0.0014, 0.6673, 0.9102)
Sr (0.9982, 0.8360, 0.9080)
Sr (0.0018, 0.1640, 0.0920)
Sr (0.9986, 0.3327, 0.0898)
Sr (0.4906, 0.8294, 0.8110)
Sr (0.0014, 0.3327, 0.9102)
Sr (0.5077, 0.6635, 0.8049)
Sr (0.9997, 0.0000, 0.0944)
Sr (0.0003, 0.0000, 0.9056)
Sr (0.5077, 0.3365, 0.8049)
Sr (0.5000, 0.8354, 0.0000)
Sr (0.5094, 0.1706, 0.1890)
Sr (0.0018, 0.8360, 0.0920)
Sr (0.0014, 0.5000, 0.9108)
Sr (0.4913, 0.5000, 0.1949)
Sr (0.5087, 0.5000, 0.8051)
Sr (0.5094, 0.8294, 0.1890)
Sr (0.9982, 0.1640, 0.9080)
Sr (0.4976, 0.0000, 0.8099)
Sr (0.4923, 0.6635, 0.1951)
Sr (0.5000, 0.0000, 0.0000)

The value obtained for the calculated formation energy is -3.495 eV/atom. The calculation puts the total energy at -8.21 eV per atom.


No. 2
Density functional theory data (PBE-GGA) for crystalline Ca6Ge7Au15 at its relaxed geometry.

Unit cell a=4.5547 b=9.5847 c=13.4303 alpha=89.37 beta=90.00 gamma=90.00
Positions (direct):
Au (0.0000, 0.2978, 0.5056)
Au (0.5000, 0.3836, 0.8399)
Au (0.5000, 0.2869, 0.3690)
Au (0.0000, 0.9989, 0.9998)
Au (0.5000, 0.7994, 0.9961)
Au (0.5000, 0.6141, 0.1594)
Au (0.5000, 0.7374, 0.3592)
Au (0.0000, 0.2388, 0.1377)
Au (0.0000, 0.1106, 0.3411)
Au (0.5000, 0.2055, 0.0046)
Au (0.5000, 0.2597, 0.6394)
Au (0.0000, 0.8837, 0.6579)
Au (0.0000, 0.7579, 0.8586)
Au (0.0000, 0.7014, 0.4951)
Au (0.5000, 0.5046, 0.5090)
Ge (0.5000, 0.3502, 0.1797)
Ge (0.5000, 0.7287, 0.6265)
Ge (0.0000, 0.8493, 0.3177)
Ge (0.0000, 0.1455, 0.6860)
Ge (0.5000, 0.6491, 0.8178)
Ge (0.0000, 0.2198, 0.8754)
Ge (0.0000, 0.7771, 0.1241)
Ca (0.5000, 0.9993, 0.1887)
Ca (0.0000, 0.4947, 0.3119)
Ca (0.0000, 0.4983, 0.9987)
Ca (0.5000, 0.0002, 0.8112)
Ca (0.5000, 0.0064, 0.4994)
Ca (0.0000, 0.5009, 0.6904)

The value obtained for the calculated formation energy is -0.507 eV/atom. The calculation puts the total energy at -3.85 eV per atom.


No. 3
Density functional theory data (PBE-GGA) for crystalline Na7La2Zn2P5SO24 at its relaxed geometry.

Unit cell a=9.3574 b=9.3999 c=23.0304 alpha=90.46 beta=89.57 gamma=120.01
Positions (direct):
O (0.4225, 0.2997, 0.0238)
O (0.3312, 0.4721, 0.4724)
O (0.9987, 0.8253, 0.0905)
O (0.8538, 0.5230, 0.7458)
O (0.7956, 0.9697, 0.4161)
O (0.8808, 0.3772, 0.9157)
O (0.5118, 0.8403, 0.0757)
O (0.4882, 0.3735, 0.4167)
O (0.4692, 0.3665, 0.1296)
O (0.4347, 0.1380, 0.5369)
O (0.2257, 0.2070, 0.8053)
O (0.8694, 0.5702, 0.0293)
O (0.9801, 0.7751, 0.8059)
O (0.7966, 0.7813, 0.3054)
O (0.7904, 0.8018, 0.9190)
O (0.5317, 0.6674, 0.9705)
O (0.5308, 0.6592, 0.8632)
O (0.8230, 0.9962, 0.0909)
O (0.1757, 0.1753, 0.0891)
O (0.7866, 0.8115, 0.1960)
O (0.8664, 0.5018, 0.4150)
O (0.1569, 0.6708, 0.0763)
O (0.1327, 0.6633, 0.4725)
O (0.4749, 0.1292, 0.2465)
O (0.6278, 0.5055, 0.9164)
O (0.1851, 0.2238, 0.4180)
O (0.6652, 0.1433, 0.7448)
O (0.5232, 0.6950, 0.2532)
O (0.8717, 0.3009, 0.5299)
O (0.2080, 0.9847, 0.1939)
O (0.1595, 0.4868, 0.2529)
O (0.1705, 0.9970, 0.5916)
O (0.5106, 0.6709, 0.5754)
O (0.5196, 0.8306, 0.7519)
O (0.6331, 0.5425, 0.6360)
O (0.0023, 0.1753, 0.5886)
O (0.4780, 0.3331, 0.7456)
O (0.9108, 0.3662, 0.6367)
O (0.9038, 0.5406, 0.1361)
O (0.3061, 0.8321, 0.2484)
O (0.6503, 0.1322, 0.4140)
O (0.3325, 0.8658, 0.9717)
O (0.8253, 0.8219, 0.5877)
O (0.0197, 0.8075, 0.6962)
O (0.3420, 0.8714, 0.8589)
O (0.1618, 0.4878, 0.5748)
O (0.0127, 0.8102, 0.4178)
O (0.3292, 0.4881, 0.0753)
O (0.7027, 0.1359, 0.0368)
O (0.8471, 0.3226, 0.2480)
O (0.0378, 0.2166, 0.9178)
O (0.4488, 0.0841, 0.6423)
O (0.8003, 0.0210, 0.7994)
O (0.5264, 0.8652, 0.3584)
O (0.3143, 0.4812, 0.7526)
O (0.1495, 0.4783, 0.9717)
O (0.2235, 0.0078, 0.2994)
O (0.7775, 0.9749, 0.6907)
O (0.0202, 0.2184, 0.1951)
O (0.9876, 0.2093, 0.3059)
O (0.6303, 0.0835, 0.1421)
O (0.3439, 0.4819, 0.3655)
O (0.1702, 0.9653, 0.9181)
O (0.6799, 0.5316, 0.2461)
O (0.1314, 0.6534, 0.3599)
O (0.3292, 0.8434, 0.5767)
O (0.4799, 0.1381, 0.9143)
O (0.1919, 0.2163, 0.6959)
O (0.1666, 0.6885, 0.7513)
O (0.1401, 0.4812, 0.8592)
O (0.6936, 0.5648, 0.5284)
O (0.5337, 0.8584, 0.4709)
La (0.6689, 0.3191, 0.9847)
La (0.6612, 0.3210, 0.4848)
La (0.6667, 0.3337, 0.6758)
La (0.0062, 0.0000, 0.3513)
La (0.6643, 0.3374, 0.1781)
La (0.9943, 0.0048, 0.8511)
Zn (0.9857, 0.0071, 0.1538)
Zn (0.9999, 0.9998, 0.6559)
Zn (0.3258, 0.6733, 0.8169)
Zn (0.3351, 0.6650, 0.3182)
Zn (0.3335, 0.6835, 0.5141)
Zn (0.3273, 0.6735, 0.0151)
S (0.3007, 0.9878, 0.2460)
S (0.3367, 0.3914, 0.4181)
S (0.6157, 0.6614, 0.9173)
P (0.6911, 0.9907, 0.7459)
P (0.6650, 0.0109, 0.0866)
P (0.2995, 0.3083, 0.7491)
P (0.3464, 0.3328, 0.0794)
P (0.6654, 0.6528, 0.5816)
P (0.9898, 0.3330, 0.5823)
P (0.3339, 0.9550, 0.9158)
P (0.0450, 0.6617, 0.4164)
P (0.0096, 0.3099, 0.2498)
P (0.9843, 0.6542, 0.0826)
P (0.3436, 0.0133, 0.5867)
P (0.0560, 0.3912, 0.9163)
P (0.6172, 0.9509, 0.4147)
P (0.6929, 0.7037, 0.2494)
P (0.0065, 0.7016, 0.7491)
Na (0.3007, 0.3342, 0.5870)
Na (0.6647, 0.6964, 0.0863)
Na (0.6670, 0.3100, 0.8323)
Na (0.6382, 0.9898, 0.2521)
Na (0.6691, 0.9640, 0.5846)
Na (0.3305, 0.2987, 0.9202)
Na (0.6236, 0.6389, 0.7492)
Na (0.3345, 0.6437, 0.1691)
Na (0.9993, 0.0061, 0.0100)
Na (0.0357, 0.3374, 0.0849)
Na (0.0172, 0.3769, 0.7522)
Na (0.7037, 0.6748, 0.4199)
Na (0.0034, 0.9903, 0.5110)
Na (0.0326, 0.6990, 0.5827)
Na (0.0068, 0.6288, 0.2554)
Na (0.9659, 0.3065, 0.4135)
Na (0.3338, 0.6670, 0.6662)
Na (0.9865, 0.6713, 0.9169)
Na (0.3603, 0.9853, 0.7526)
Na (0.6612, 0.3283, 0.3321)
Na (0.2976, 0.9642, 0.0812)

The value obtained for the calculated formation energy is -2.657 eV/atom. The calculation puts the total energy at -6.44 eV per atom.